1.
Computed, not measured: EuHfVSnO6 after structural relaxation at the PBE with a Hubbard U level of DFT.

Cell and atoms, written as POSCAR:
```
EuHfVSnO6
1.0
0.0000 4.0132 4.0132
4.0132 0.0000 4.0132
4.0132 4.0132 0.0000
Eu Hf V Sn O
1 1 1 1 6
Cartesian
0.0000 0.0000 0.0000
2.0066 2.0066 2.0066
6.0198 6.0198 6.0198
4.0132 4.0132 4.0132
6.0198 6.0198 4.0650
6.0198 4.0650 6.0198
7.9747 6.0198 6.0198
4.0650 6.0198 6.0198
6.0198 7.9747 6.0198
6.0198 6.0198 7.9747
```

Values from the calculation:
Space group: F-43m (216)
ΔH_f (0 K) in meV/atom: -2846
E (MP2020) in eV/atom: -9.146
Theoretical density in g cm⁻³: 7.66
Magnetic moment in μB/cell: 8.0

***

2.
Computed, not measured: Eu2HfWO6 after structural relaxation at the PBE with a Hubbard U level of DFT.

Cell and atoms, written as POSCAR:
```
Eu2HfWO6
1.0
0.0000 4.1300 4.1300
4.1300 0.0000 4.1300
4.1300 4.1300 0.0000
Eu Hf W O
2 1 1 6
Cartesian
2.0650 2.0650 2.0650
6.1950 6.1950 6.1950
0.0000 0.0000 0.0000
4.1300 4.1300 4.1300
4.1300 4.1300 2.0610
4.1300 2.0610 4.1300
6.1990 4.1300 4.1300
2.0610 4.1300 4.1300
4.1300 6.1990 4.1300
4.1300 4.1300 6.1990
```

Values from the calculation:
Space group: Fm-3m (225)
ΔH_f (0 K) in meV/atom: -3081
E (MP2020) in eV/atom: -10.392
Theoretical density in g cm⁻³: 8.98
Magnetic moment in μB/cell: 16.0

***

3.
Computed, not measured: EuV2IO9 after structural relaxation at the PBE with a Hubbard U level of DFT.

Cell and atoms, written as POSCAR:
```
EuV2IO9
1.0
7.1046 0.0000 0.0000
0.0000 14.7138 0.0000
0.0000 0.0000 7.2936
Eu V I O
4 8 4 36
Cartesian
1.0566 0.6997 1.8234
1.0566 6.6572 5.4702
6.0480 8.0566 1.8234
6.0480 14.0142 5.4702
1.3038 10.7192 5.4702
1.3038 11.3515 1.8234
3.2738 3.6785 0.0000
3.2738 3.6785 3.6468
3.8308 11.0354 0.0000
3.8308 11.0354 3.6468
5.8008 3.3623 5.4702
5.8008 3.9946 1.8234
2.1164 0.7894 5.4702
2.1164 6.5675 1.8234
4.9882 8.1463 5.4702
4.9882 13.9244 1.8234
0.0972 10.1922 1.8234
0.0972 11.8785 5.4702
0.5768 9.2005 5.4702
0.5768 12.8702 1.8234
1.2317 7.5231 0.5078
1.2317 7.5231 3.1390
1.2317 14.5476 4.1546
1.2317 14.5476 6.7858
1.8732 11.0354 0.0000
1.8732 11.0354 3.6468
2.3113 2.3267 0.3297
2.3113 2.3267 3.3171
2.3113 5.0302 3.9766
2.3113 5.0302 6.9639
3.3495 10.5859 5.4702
3.3495 11.4849 1.8234
3.3663 0.0210 1.8234
3.3663 7.3359 5.4702
3.7383 7.3779 1.8234
3.7383 14.6928 5.4702
3.7551 3.2289 5.4702
3.7551 4.1280 1.8234
4.7933 9.6836 0.3297
4.7933 9.6836 3.3171
4.7933 12.3871 3.9766
4.7933 12.3871 6.9639
5.2314 3.6785 0.0000
5.2314 3.6785 3.6468
5.8728 0.1662 0.5078
5.8728 0.1662 3.1390
5.8728 7.1907 4.1546
5.8728 7.1907 6.7858
6.5277 1.8436 5.4702
6.5277 5.5133 1.8234
7.0073 2.8353 1.8234
7.0073 4.5216 5.4702
```

Values from the calculation:
Space group: Pbcm (57)
ΔH_f (0 K) in meV/atom: -2131
E (MP2020) in eV/atom: -7.861
Theoretical density in g cm⁻³: 4.57
Magnetic moment in μB/cell: 24.0

***

4.
Computed, not measured: SrEuInWO6 after structural relaxation at the PBE with a Hubbard U level of DFT.

Cell and atoms, written as POSCAR:
```
SrEuInWO6
1.0
0.0000 4.1237 4.1237
4.1237 0.0000 4.1237
4.1237 4.1237 0.0000
Sr Eu In W O
1 1 1 1 6
Cartesian
0.0000 0.0000 0.0000
4.1237 4.1237 4.1237
6.1855 6.1855 6.1855
2.0618 2.0618 2.0618
2.0618 2.0618 0.0676
2.0618 0.0676 2.0618
4.0560 2.0618 2.0618
0.0676 2.0618 2.0618
2.0618 4.0560 2.0618
2.0618 2.0618 4.0560
```

Values from the calculation:
Space group: F-43m (216)
ΔH_f (0 K) in meV/atom: -2500
E (MP2020) in eV/atom: -8.234
Theoretical density in g cm⁻³: 7.51
Magnetic moment in μB/cell: 8.0

***

5.
Computed, not measured: KLaEuWO6 after structural relaxation at the PBE with a Hubbard U level of DFT.

Cell and atoms, written as POSCAR:
```
KLaEuWO6
1.0
0.0000 4.2699 4.2699
4.2699 0.0000 4.2699
4.2699 4.2699 0.0000
K La Eu W O
1 1 1 1 6
Cartesian
0.0000 0.0000 0.0000
4.2699 4.2699 4.2699
2.1349 2.1349 2.1349
6.4048 6.4048 6.4048
6.4048 6.4048 4.4404
6.4048 4.4404 6.4048
8.3693 6.4048 6.4048
4.4404 6.4048 6.4048
6.4048 8.3693 6.4048
6.4048 6.4048 8.3693
```

Values from the calculation:
Space group: F-43m (216)
ΔH_f (0 K) in meV/atom: -2746
E (MP2020) in eV/atom: -8.641
Theoretical density in g cm⁻³: 6.50
Magnetic moment in μB/cell: 7.0

***

6.
Computed, not measured: KLaEuWO6 after structural relaxation at the PBE with a Hubbard U level of DFT.

Cell and atoms, written as POSCAR:
```
KLaEuWO6
1.0
8.5150 0.0000 0.0000
0.0000 8.5611 0.0000
0.0000 0.0000 8.6113
K La Eu W O
4 4 4 4 24
Cartesian
2.1288 2.1403 2.1528
2.1288 6.4208 6.4585
6.3863 2.1403 2.1528
6.3863 6.4208 6.4585
2.1288 2.1403 6.4585
2.1288 6.4208 2.1528
6.3863 2.1403 6.4585
6.3863 6.4208 2.1528
0.0000 0.0000 0.0000
0.0000 4.2805 4.3057
4.2575 0.0000 4.3057
4.2575 4.2805 0.0000
0.0000 0.0000 4.3057
0.0000 4.2805 0.0000
4.2575 0.0000 0.0000
4.2575 4.2805 4.3057
0.3125 0.4689 6.2532
0.3125 3.8116 6.6637
0.3328 6.1984 8.4396
0.3328 6.6432 4.4774
1.9094 0.2325 3.9646
1.9094 4.0480 0.3411
2.3481 0.2325 0.3411
2.3481 4.0480 3.9646
3.9247 6.1984 4.4774
3.9247 6.6432 8.4396
3.9450 0.4689 6.6637
3.9450 3.8116 6.2532
4.5700 4.7494 2.3581
4.5700 8.0922 1.9476
4.5904 1.9179 0.1717
4.5904 2.3626 4.1339
6.1669 4.5131 4.6467
6.1669 8.3285 8.2702
6.6057 4.5131 8.2702
6.6057 8.3285 4.6467
8.1822 1.9179 4.1339
8.1822 2.3626 0.1717
8.2025 4.7494 1.9476
8.2025 8.0922 2.3581
```

Values from the calculation:
Space group: Pnnn (48)
ΔH_f (0 K) in meV/atom: -2817
E (MP2020) in eV/atom: -8.712
Theoretical density in g cm⁻³: 6.45
Magnetic moment in μB/cell: 27.8